{
  "formula": "Rb2Sb4S7",
  "functional": "r2SCAN",
  "state": "relaxed",
  "lattice": [[7.802, 0.000, 0.000], [2.148, 9.390, 0.000], [0.918, 1.788, 11.360]],
  "species": ["Rb", "Rb", "Rb", "Rb", "Sb", "Sb", "Sb", "Sb", "Sb", "Sb", "Sb", "Sb", "S", "S", "S", "S", "S", "S", "S", "S", "S", "S", "S", "S", "S", "S"],
  "fractional_positions": [[0.077, 0.234, 0.441], [0.233, 0.831, 0.888], [0.767, 0.169, 0.112], [0.923, 0.766, 0.559], [0.002, 0.312, 0.769], [0.229, 0.363, 0.047], [0.337, 0.936, 0.184], [0.472, 0.444, 0.659], [0.528, 0.556, 0.341], [0.663, 0.064, 0.816], [0.771, 0.637, 0.953], [0.998, 0.688, 0.231], [0.048, 0.567, 0.843], [0.051, 0.934, 0.287], [0.143, 0.172, 0.951], [0.278, 0.512, 0.471], [0.300, 0.628, 0.155], [0.365, 0.176, 0.223], [0.478, 0.188, 0.648], [0.522, 0.812, 0.352], [0.635, 0.824, 0.777], [0.700, 0.372, 0.845], [0.722, 0.488, 0.529], [0.857, 0.828, 0.049], [0.949, 0.066, 0.713], [0.952, 0.433, 0.157]],
  "magmom_total_mub_per_cell": 0.000,
  "delta_e_f_ev_per_atom": -0.640
}

{
  "formula": "Er2PtAu",
  "functional": "r2SCAN",
  "state": "relaxed",
  "lattice": [[4.562, 0.000, 0.000], [0.000, 5.539, 0.000], [0.000, 0.000, 6.976]],
  "species": ["Er", "Er", "Er", "Er", "Pt", "Pt", "Au", "Au"],
  "fractional_positions": [[0.000, 0.098, 0.000], [0.000, 0.902, 0.500], [0.500, 0.384, 0.632], [0.500, 0.616, 0.132], [0.500, 0.097, 0.273], [0.500, 0.903, 0.773], [0.000, 0.410, 0.355], [0.000, 0.590, 0.855]],
  "magmom_total_mub_per_cell": 0.000,
  "delta_e_f_ev_per_atom": -1.218
}

{
  "formula": "NaLi4Cl5",
  "functional": "r2SCAN",
  "state": "relaxed",
  "lattice": [[10.614, 0.000, -5.980], [0.000, 3.670, 0.000], [0.008, 0.000, 9.034]],
  "species": ["Cl", "Cl", "Cl", "Cl", "Cl", "Cl", "Cl", "Cl", "Cl", "Cl", "Li", "Li", "Li", "Li", "Li", "Li", "Li", "Li", "Na", "Na"],
  "fractional_positions": [[0.705, 0.500, 0.310], [0.394, 0.000, 0.111], [0.205, 0.000, 0.310], [0.295, 0.500, 0.690], [0.606, 0.000, 0.889], [0.500, 0.500, 0.500], [0.000, 0.000, 0.500], [0.795, 0.000, 0.690], [0.106, 0.500, 0.889], [0.894, 0.500, 0.111], [0.697, 0.500, 0.793], [0.598, 0.000, 0.403], [0.303, 0.500, 0.207], [0.902, 0.500, 0.597], [0.402, 0.000, 0.597], [0.098, 0.500, 0.403], [0.803, 0.000, 0.207], [0.197, 0.000, 0.793], [0.000, 0.000, 0.000], [0.500, 0.500, 0.000]],
  "polymorph_energy_mev_per_atom": 0,
  "magmom_total_mub_per_cell": 0.000,
  "delta_e_f_ev_per_atom": -2.015
}

{
  "formula": "BaMnF5",
  "functional": "r2SCAN",
  "state": "relaxed",
  "lattice": [[4.831, 0.000, 0.000], [0.000, 5.812, 0.000], [0.000, 0.000, 14.164]],
  "species": ["Ba", "Ba", "Ba", "Ba", "Mn", "Mn", "Mn", "Mn", "F", "F", "F", "F", "F", "F", "F", "F", "F", "F", "F", "F", "F", "F", "F", "F", "F", "F", "F", "F"],
  "fractional_positions": [[0.230, 0.131, 0.161], [0.270, 0.869, 0.661], [0.730, 0.369, 0.839], [0.770, 0.631, 0.339], [0.161, 0.116, 0.416], [0.339, 0.884, 0.916], [0.661, 0.384, 0.584], [0.839, 0.616, 0.084], [0.004, 0.887, 0.488], [0.046, 0.873, 0.002], [0.144, 0.619, 0.165], [0.194, 0.128, 0.823], [0.201, 0.644, 0.841], [0.299, 0.356, 0.341], [0.306, 0.872, 0.323], [0.356, 0.381, 0.665], [0.454, 0.127, 0.502], [0.496, 0.113, 0.988], [0.504, 0.613, 0.512], [0.546, 0.627, 0.998], [0.644, 0.881, 0.835], [0.694, 0.372, 0.177], [0.701, 0.856, 0.159], [0.799, 0.144, 0.659], [0.806, 0.628, 0.677], [0.856, 0.119, 0.335], [0.954, 0.373, 0.498], [0.996, 0.387, 0.012]],
  "magmom_total_mub_per_cell": 16.000,
  "delta_e_f_ev_per_atom": -3.452
}

{
  "formula": "SrAl3Ag",
  "functional": "r2SCAN",
  "state": "relaxed",
  "lattice": [[0.000, 3.051, 5.840], [3.046, 0.000, 5.840], [3.046, 3.051, 0.000]],
  "species": ["Sr", "Al", "Al", "Al", "Ag"],
  "fractional_positions": [[0.000, 0.000, 0.000], [0.250, 0.250, 0.250], [0.612, 0.612, 0.388], [0.750, 0.750, 0.750], [0.384, 0.384, 0.616]],
  "magmom_total_mub_per_cell": 0.000,
  "delta_e_f_ev_per_atom": -0.297
}

{
  "formula": "Si",
  "functional": "r2SCAN",
  "state": "relaxed",
  "lattice": [[4.713, 2.721, 1.884], [-4.713, 2.721, 1.884], [0.000, -5.442, 1.884]],
  "species": ["Si", "Si", "Si", "Si", "Si", "Si", "Si", "Si"],
  "fractional_positions": [[0.019, 0.517, 0.215], [0.213, 0.213, 0.213], [0.215, 0.019, 0.517], [0.483, 0.785, 0.981], [0.517, 0.215, 0.019], [0.785, 0.981, 0.483], [0.787, 0.787, 0.787], [0.981, 0.483, 0.785]],
  "polymorph_energy_mev_per_atom": 197,
  "magmom_total_mub_per_cell": 0.000,
  "delta_e_f_ev_per_atom": 0.197
}

{
  "formula": "Cs3SbO4",
  "functional": "r2SCAN",
  "state": "relaxed",
  "lattice": [[12.928, 0.000, 0.000], [0.000, 9.238, 0.000], [0.000, 0.000, 6.855]],
  "species": ["Cs", "Cs", "Cs", "Cs", "Cs", "Cs", "Cs", "Cs", "Cs", "Cs", "Cs", "Cs", "Sb", "Sb", "Sb", "Sb", "O", "O", "O", "O", "O", "O", "O", "O", "O", "O", "O", "O", "O", "O", "O", "O"],
  "fractional_positions": [[0.076, 0.250, 0.150], [0.146, 0.007, 0.702], [0.146, 0.493, 0.702], [0.354, 0.507, 0.202], [0.354, 0.993, 0.202], [0.424, 0.750, 0.650], [0.576, 0.250, 0.350], [0.646, 0.007, 0.798], [0.646, 0.493, 0.798], [0.854, 0.507, 0.298], [0.854, 0.993, 0.298], [0.924, 0.750, 0.850], [0.113, 0.750, 0.275], [0.387, 0.250, 0.775], [0.613, 0.750, 0.225], [0.887, 0.250, 0.725], [0.004, 0.250, 0.556], [0.112, 0.581, 0.119], [0.112, 0.919, 0.119], [0.234, 0.750, 0.432], [0.266, 0.250, 0.932], [0.388, 0.081, 0.619], [0.388, 0.419, 0.619], [0.496, 0.750, 0.056], [0.504, 0.250, 0.944], [0.612, 0.581, 0.381], [0.612, 0.919, 0.381], [0.734, 0.750, 0.068], [0.766, 0.250, 0.568], [0.888, 0.081, 0.881], [0.888, 0.419, 0.881], [0.996, 0.750, 0.444]],
  "magmom_total_mub_per_cell": 0.000,
  "delta_e_f_ev_per_atom": -1.720
}

{
  "formula": "CeRu2",
  "functional": "r2SCAN",
  "state": "relaxed",
  "lattice": [[0.000, 3.764, 3.764], [3.764, 0.000, 3.764], [3.764, 3.764, 0.000]],
  "species": ["Ce", "Ce", "Ru", "Ru", "Ru", "Ru"],
  "fractional_positions": [[0.125, 0.125, 0.125], [0.875, 0.875, 0.875], [0.000, 0.500, 0.500], [0.500, 0.000, 0.500], [0.500, 0.500, 0.000], [0.500, 0.500, 0.500]],
  "magmom_total_mub_per_cell": 0.001,
  "delta_e_f_ev_per_atom": -0.273
}